(1)
Density functional theory data (PBE) for LuRh2Pb after structural relaxation. Values from VASP.

Values from the calculation:
Energy of formation   -2.39 eV per formula unit
Volume   18.61 A^3/atom

```
&SYSTEM
  ibrav = 0, nat = 4, ntyp = 3
/
ATOMIC_SPECIES
Lu 174.97 Lu.upf
Rh 102.91 Rh.upf
Pb 207.20 Pb.upf
CELL_PARAMETERS angstrom
-3.640 -3.001 0.195
-4.424 1.640 -0.189
-2.639 -0.763 -3.840
ATOMIC_POSITIONS crystal
Lu 0.500 0.500 0.500
Rh 0.250 0.250 0.250
Rh 0.750 0.750 0.750
Pb 0.000 0.000 0.000
```

***

(2)
Density functional theory data (PBE) for Lu3Pd4 after structural relaxation. Values from VASP.

Values from the calculation:
Energy of formation   -7.00 eV per formula unit
Volume   19.75 A^3/atom

```
&SYSTEM
  ibrav = 0, nat = 14, ntyp = 2
/
ATOMIC_SPECIES
Lu 174.97 Lu.upf
Pd 106.42 Pd.upf
CELL_PARAMETERS angstrom
-5.538 -2.414 4.832
3.945 -5.711 -3.415
4.435 5.669 2.833
ATOMIC_POSITIONS crystal
Lu 0.976 0.596 0.723
Lu 0.723 0.976 0.596
Lu 0.596 0.723 0.976
Lu 0.024 0.404 0.277
Lu 0.277 0.024 0.404
Lu 0.404 0.277 0.024
Pd 0.000 0.000 0.000
Pd 0.500 0.500 0.500
Pd 0.936 0.771 0.449
Pd 0.449 0.936 0.771
Pd 0.771 0.449 0.936
Pd 0.064 0.229 0.551
Pd 0.551 0.064 0.229
Pd 0.229 0.551 0.064
```

***

(3)
Density functional theory data (PBE) for LuPd after structural relaxation. Values from VASP.

Values from the calculation:
Energy of formation   -1.95 eV per formula unit
Volume   20.36 A^3/atom

```
&SYSTEM
  ibrav = 0, nat = 2, ntyp = 2
/
ATOMIC_SPECIES
Lu 174.97 Lu.upf
Pd 106.42 Pd.upf
CELL_PARAMETERS angstrom
-0.837 0.064 3.337
3.280 -0.616 0.835
0.613 3.384 0.089
ATOMIC_POSITIONS crystal
Lu 0.000 0.000 0.000
Pd 0.500 0.500 0.500
```

***

(4)
Density functional theory data (PBE) for Lu2PdPt after structural relaxation. Values from VASP.

Values from the calculation:
Energy of formation   -4.63 eV per formula unit
Volume   20.17 A^3/atom

```
&SYSTEM
  ibrav = 0, nat = 4, ntyp = 3
/
ATOMIC_SPECIES
Lu 174.97 Lu.upf
Pd 106.42 Pd.upf
Pt 195.08 Pt.upf
CELL_PARAMETERS angstrom
0.000 3.430 3.430
3.430 0.000 3.430
3.430 3.430 0.000
ATOMIC_POSITIONS crystal
Lu 0.250 0.250 0.250
Lu 0.750 0.750 0.750
Pd 0.500 0.500 0.500
Pt 0.000 0.000 0.000
```

***

(5)
Density functional theory data (PBE) for Lu2PdRh after structural relaxation. Values from VASP.

Values from the calculation:
Energy of formation   -3.95 eV per formula unit
Volume   19.66 A^3/atom

```
&SYSTEM
  ibrav = 0, nat = 4, ntyp = 3
/
ATOMIC_SPECIES
Lu 174.97 Lu.upf
Pd 106.42 Pd.upf
Rh 102.91 Rh.upf
CELL_PARAMETERS angstrom
0.000 3.400 3.400
3.400 0.000 3.400
3.400 3.400 0.000
ATOMIC_POSITIONS crystal
Lu 0.250 0.250 0.250
Lu 0.750 0.750 0.750
Pd 0.500 0.500 0.500
Rh 0.000 0.000 0.000
```

***

(6)
Density functional theory data (PBE) for Lu2PdRu after structural relaxation. Values from VASP.

Values from the calculation:
Energy of formation   -3.10 eV per formula unit
Volume   19.29 A^3/atom

```
&SYSTEM
  ibrav = 0, nat = 4, ntyp = 3
/
ATOMIC_SPECIES
Lu 174.97 Lu.upf
Pd 106.42 Pd.upf
Ru 101.07 Ru.upf
CELL_PARAMETERS angstrom
0.000 3.379 3.379
3.379 0.000 3.379
3.379 3.379 0.000
ATOMIC_POSITIONS crystal
Lu 0.250 0.250 0.250
Lu 0.750 0.750 0.750
Pd 0.500 0.500 0.500
Ru 0.000 0.000 0.000
```

***

The highest volume belongs to which entry?
LuPd

***

Please write out number 5 again, unchanged.
Density functional theory data (PBE) for Lu2PdRh after structural relaxation. Values from VASP.

Values from the calculation:
Energy of formation   -3.95 eV per formula unit
Volume   19.66 A^3/atom

```
&SYSTEM
  ibrav = 0, nat = 4, ntyp = 3
/
ATOMIC_SPECIES
Lu 174.97 Lu.upf
Pd 106.42 Pd.upf
Rh 102.91 Rh.upf
CELL_PARAMETERS angstrom
0.000 3.400 3.400
3.400 0.000 3.400
3.400 3.400 0.000
ATOMIC_POSITIONS crystal
Lu 0.250 0.250 0.250
Lu 0.750 0.750 0.750
Pd 0.500 0.500 0.500
Rh 0.000 0.000 0.000
```

***

Among the records above, which one has the highest volume?
LuPd